This record from Materials Project describes crystalline Rb5GaO4 at its relaxed geometry. The functional is meta-GGA r2SCAN.

a = 6.946 Å, b = 21.371 Å, c = 11.788 Å
α = 90.00°, β = 90.00°, γ = 90.00°
Atoms (fractional coordinates):
Rb: 0.072 0.130 0.204
Rb: 0.072 0.370 0.704
Rb: 0.076 0.004 0.639
Rb: 0.076 0.496 0.139
Rb: 0.083 0.066 0.930
Rb: 0.083 0.434 0.430
Rb: 0.113 0.678 0.829
Rb: 0.113 0.822 0.329
Rb: 0.119 0.745 0.087
Rb: 0.119 0.755 0.587
Rb: 0.381 0.245 0.087
Rb: 0.381 0.255 0.587
Rb: 0.387 0.178 0.829
Rb: 0.387 0.322 0.329
Rb: 0.417 0.566 0.930
Rb: 0.417 0.934 0.430
Rb: 0.424 0.504 0.639
Rb: 0.424 0.996 0.139
Rb: 0.428 0.630 0.204
Rb: 0.428 0.870 0.704
Rb: 0.572 0.130 0.296
Rb: 0.572 0.370 0.796
Rb: 0.576 0.004 0.861
Rb: 0.576 0.496 0.361
Rb: 0.583 0.066 0.570
Rb: 0.583 0.434 0.070
Rb: 0.613 0.678 0.671
Rb: 0.613 0.822 0.171
Rb: 0.619 0.745 0.413
Rb: 0.619 0.755 0.913
Rb: 0.881 0.245 0.413
Rb: 0.881 0.255 0.913
Rb: 0.887 0.178 0.671
Rb: 0.887 0.322 0.171
Rb: 0.917 0.566 0.570
Rb: 0.917 0.934 0.070
Rb: 0.924 0.504 0.861
Rb: 0.924 0.996 0.361
Rb: 0.928 0.630 0.296
Rb: 0.928 0.870 0.796
Ga: 0.177 0.125 0.469
Ga: 0.177 0.375 0.969
Ga: 0.323 0.625 0.469
Ga: 0.323 0.875 0.969
Ga: 0.677 0.125 0.031
Ga: 0.677 0.375 0.531
Ga: 0.823 0.625 0.031
Ga: 0.823 0.875 0.531
O: 0.095 0.616 0.041
O: 0.095 0.884 0.541
O: 0.212 0.553 0.400
O: 0.212 0.947 0.900
O: 0.244 0.699 0.390
O: 0.244 0.801 0.890
O: 0.247 0.130 0.624
O: 0.247 0.370 0.124
O: 0.253 0.630 0.624
O: 0.253 0.870 0.124
O: 0.256 0.199 0.390
O: 0.256 0.301 0.890
O: 0.288 0.053 0.400
O: 0.288 0.447 0.900
O: 0.405 0.116 0.041
O: 0.405 0.384 0.541
O: 0.595 0.616 0.459
O: 0.595 0.884 0.959
O: 0.712 0.553 0.100
O: 0.712 0.947 0.600
O: 0.744 0.699 0.110
O: 0.744 0.801 0.610
O: 0.747 0.130 0.876
O: 0.747 0.370 0.376
O: 0.753 0.630 0.876
O: 0.753 0.870 0.376
O: 0.756 0.199 0.110
O: 0.756 0.301 0.610
O: 0.788 0.053 0.100
O: 0.788 0.447 0.600
O: 0.905 0.116 0.459
O: 0.905 0.384 0.959

Computed properties:
**VASP energy**: -12.0475 eV/atom
**DFT formation energy**: -1.5488 eV/atom
**V**: 21.87 A^3/atom
**Magnetization**: 0.00 μB per atom


This record from Materials Project describes crystalline Rb2YGaSi4O12 at its relaxed geometry. The functional is meta-GGA r2SCAN.

a = 13.948 Å, b = 13.948 Å, c = 14.885 Å
α = 121.93°, β = 121.93°, γ = 30.22°
Atoms (fractional coordinates):
Rb: 0.185 0.197 0.966
Rb: 0.197 0.185 0.466
Rb: 0.200 0.730 0.546
Rb: 0.270 0.800 0.954
Rb: 0.730 0.200 0.046
Rb: 0.800 0.270 0.454
Rb: 0.803 0.815 0.534
Rb: 0.815 0.803 0.034
Y: 0.014 0.449 0.750
Y: 0.449 0.014 0.250
Y: 0.551 0.986 0.750
Y: 0.986 0.551 0.250
Ga: 0.132 0.729 0.275
Ga: 0.271 0.868 0.225
Ga: 0.729 0.132 0.775
Ga: 0.868 0.271 0.725
Si: 0.021 0.740 0.839
Si: 0.211 0.664 0.078
Si: 0.260 0.979 0.661
Si: 0.302 0.360 0.490
Si: 0.313 0.360 0.703
Si: 0.336 0.789 0.422
Si: 0.360 0.302 0.990
Si: 0.360 0.313 0.203
Si: 0.640 0.687 0.797
Si: 0.640 0.698 0.010
Si: 0.664 0.211 0.578
Si: 0.687 0.640 0.297
Si: 0.698 0.640 0.510
Si: 0.740 0.021 0.339
Si: 0.789 0.336 0.922
Si: 0.979 0.260 0.161
O: 0.063 0.082 0.164
O: 0.065 0.750 0.967
O: 0.072 0.794 0.159
O: 0.082 0.063 0.664
O: 0.113 0.262 0.227
O: 0.119 0.533 0.422
O: 0.149 0.426 0.924
O: 0.168 0.548 0.227
O: 0.206 0.928 0.341
O: 0.227 0.416 0.587
O: 0.230 0.544 0.797
O: 0.250 0.935 0.533
O: 0.258 0.296 0.703
O: 0.262 0.113 0.727
O: 0.296 0.258 0.203
O: 0.325 0.664 0.380
O: 0.336 0.675 0.120
O: 0.366 0.438 0.058
O: 0.416 0.227 0.087
O: 0.426 0.149 0.424
O: 0.438 0.366 0.558
O: 0.452 0.832 0.273
O: 0.456 0.770 0.703
O: 0.467 0.881 0.078
O: 0.533 0.119 0.922
O: 0.544 0.230 0.297
O: 0.548 0.168 0.727
O: 0.562 0.634 0.442
O: 0.574 0.851 0.576
O: 0.584 0.773 0.913
O: 0.634 0.562 0.942
O: 0.664 0.325 0.880
O: 0.675 0.336 0.620
O: 0.704 0.742 0.797
O: 0.738 0.887 0.273
O: 0.742 0.704 0.297
O: 0.750 0.065 0.467
O: 0.770 0.456 0.203
O: 0.773 0.584 0.413
O: 0.794 0.072 0.659
O: 0.832 0.452 0.773
O: 0.851 0.574 0.076
O: 0.881 0.467 0.578
O: 0.887 0.738 0.773
O: 0.918 0.937 0.336
O: 0.928 0.206 0.841
O: 0.935 0.250 0.033
O: 0.937 0.918 0.836

Computed properties:
**VASP energy**: -11.2870 eV/atom
**DFT formation energy**: -2.9678 eV/atom
**V**: 15.24 A^3/atom
**Magnetization**: 0.00 μB per atom


This record from Materials Project describes crystalline Ga2S3O12 at its relaxed geometry. The functional is meta-GGA r2SCAN.

a = 8.676 Å, b = 8.676 Å, c = 8.676 Å
α = 55.51°, β = 55.51°, γ = 55.51°
Atoms (fractional coordinates):
Ga: 0.144 0.144 0.144
Ga: 0.349 0.349 0.349
Ga: 0.651 0.651 0.651
Ga: 0.856 0.856 0.856
S: 0.039 0.751 0.458
S: 0.249 0.542 0.961
S: 0.458 0.039 0.751
S: 0.542 0.961 0.249
S: 0.751 0.458 0.039
S: 0.961 0.249 0.542
O: 0.014 0.797 0.611
O: 0.118 0.742 0.872
O: 0.128 0.882 0.258
O: 0.156 0.214 0.526
O: 0.174 0.541 0.485
O: 0.203 0.389 0.986
O: 0.214 0.526 0.156
O: 0.258 0.128 0.882
O: 0.389 0.986 0.203
O: 0.459 0.515 0.826
O: 0.474 0.844 0.786
O: 0.485 0.174 0.541
O: 0.515 0.826 0.459
O: 0.526 0.156 0.214
O: 0.541 0.485 0.174
O: 0.611 0.014 0.797
O: 0.742 0.872 0.118
O: 0.786 0.474 0.844
O: 0.797 0.611 0.014
O: 0.826 0.459 0.515
O: 0.844 0.786 0.474
O: 0.872 0.118 0.742
O: 0.882 0.258 0.128
O: 0.986 0.203 0.389

Computed properties:
**VASP energy**: -8.6144 eV/atom
**DFT formation energy**: -1.6346 eV/atom
**V**: 12.17 A^3/atom
**Magnetization**: 0.00 μB per atom